[1]
The following is a PBE calculation of a relaxed CaEuHfSnO6 crystal, from Materials Project. Values from VASP.

```
&SYSTEM
  ibrav = 0, nat = 10, ntyp = 5
/
ATOMIC_SPECIES
O 16.00 O.upf
Eu 151.96 Eu.upf
Hf 178.49 Hf.upf
Sn 118.71 Sn.upf
Ca 40.08 Ca.upf
CELL_PARAMETERS angstrom
0.0000 -4.1004 -4.1004
4.1004 0.0000 -4.1004
4.1004 -4.1004 0.0000
ATOMIC_POSITIONS crystal
O 0.7498 0.2502 0.7498
O 0.2502 0.2502 0.7498
Eu 0.2500 0.2500 0.2500
Hf 0.0000 0.0000 0.0000
O 0.7498 0.2502 0.2502
Sn 0.5000 0.5000 0.5000
O 0.7498 0.7498 0.2502
O 0.2502 0.7498 0.7498
O 0.2502 0.7498 0.2502
Ca 0.7500 0.7500 0.7500
```

Calculated values
Raw total energy, eV/atom: -8.3009
SG: F-43m (216)

=====

[2]
The following is a PBE calculation of a relaxed MgH6Br2N2 crystal, from Materials Project. Values from VASP.

```
&SYSTEM
  ibrav = 0, nat = 44, ntyp = 4
/
ATOMIC_SPECIES
Br 79.90 Br.upf
H 1.01 H.upf
N 14.01 N.upf
Mg 24.30 Mg.upf
CELL_PARAMETERS angstrom
-4.7397 -3.2022 1.8512
4.6237 -6.5685 0.4760
2.6395 2.6841 11.4006
ATOMIC_POSITIONS crystal
Br 0.2217 0.9992 0.8868
H 0.7608 0.1494 0.8184
H 0.7082 0.2500 0.2956
N 0.7481 0.2500 0.8709
N 0.2392 0.7500 0.6230
H 0.4137 0.7500 0.1016
Mg 0.5010 0.7500 0.4999
H 0.6358 0.6489 0.8850
N 0.7608 0.2500 0.3770
H 0.3642 0.1489 0.1150
Br 0.7217 0.5008 0.6132
H 0.2392 0.6494 0.1816
H 0.1358 0.6489 0.6150
H 0.0863 0.2500 0.6016
Mg 0.0010 0.7500 0.0001
Br 0.7217 0.9992 0.6132
N 0.2519 0.7500 0.1291
Mg 0.4990 0.2500 0.5001
Br 0.7783 0.0008 0.1132
N 0.2608 0.2500 0.1230
H 0.5863 0.2500 0.8984
N 0.7519 0.7500 0.3709
Br 0.2217 0.5008 0.8868
Br 0.2783 0.4992 0.3868
H 0.9137 0.7500 0.3984
H 0.6358 0.8511 0.8850
Br 0.7783 0.4992 0.1132
H 0.7918 0.7500 0.7956
H 0.2082 0.2500 0.2044
H 0.7392 0.8506 0.3184
N 0.7392 0.7500 0.8770
H 0.8642 0.1489 0.3850
N 0.2481 0.2500 0.6291
Mg 0.9990 0.2500 0.9999
H 0.2392 0.8506 0.1816
H 0.7392 0.6494 0.3184
Br 0.2783 0.0008 0.3868
H 0.8642 0.3511 0.3850
H 0.7608 0.3506 0.8184
H 0.2608 0.3506 0.6816
H 0.2608 0.1494 0.6816
H 0.3642 0.3511 0.1150
H 0.2918 0.7500 0.7044
H 0.1358 0.8511 0.6150
```

Calculated values
Raw total energy, eV/atom: -4.5539
SG: Pnma (62)

=====

[3]
The following is a PBE calculation of a relaxed MgCd3C4O12 crystal, from Materials Project. Values from VASP.

```
&SYSTEM
  ibrav = 0, nat = 20, ntyp = 4
/
ATOMIC_SPECIES
Cd 112.41 Cd.upf
O 16.00 O.upf
C 12.01 C.upf
Mg 24.30 Mg.upf
CELL_PARAMETERS angstrom
-7.7689 6.2052 5.0659
-10.3737 2.3715 3.3594
-7.9074 1.9805 7.6207
ATOMIC_POSITIONS crystal
Cd 0.2462 0.2462 0.2462
O 0.8382 0.1499 0.6264
C 0.8714 0.8714 0.8714
O 0.8501 0.3736 0.1618
O 0.6188 0.3641 0.8891
Cd 0.0000 0.0000 0.0000
Cd 0.7538 0.7538 0.7538
O 0.3641 0.8891 0.6188
O 0.1499 0.6264 0.8382
O 0.6359 0.1109 0.3812
O 0.6264 0.8382 0.1499
O 0.1618 0.8501 0.3736
C 0.1286 0.1286 0.1286
O 0.8891 0.6188 0.3641
Mg 0.5000 0.5000 0.5000
O 0.3736 0.1618 0.8501
C 0.6240 0.6240 0.6240
O 0.3812 0.6359 0.1109
O 0.1109 0.3812 0.6359
C 0.3760 0.3760 0.3760
```

Calculated values
Raw total energy, eV/atom: -6.5547
SG: R-3 (148)

=====

[4]
The following is a PBE calculation of a relaxed NdCl3O3 crystal, from Materials Project. Values from VASP.

```
&SYSTEM
  ibrav = 0, nat = 28, ntyp = 3
/
ATOMIC_SPECIES
Cl 35.45 Cl.upf
O 16.00 O.upf
Nd 144.24 Nd.upf
CELL_PARAMETERS angstrom
4.6102 0.0000 0.0000
0.0000 8.9474 0.0000
0.0000 0.0000 17.4049
ATOMIC_POSITIONS crystal
Cl 0.2120 0.5403 0.4194
O 0.7570 0.8180 0.8193
O 0.5559 0.2500 0.4989
O 0.7430 0.6820 0.3193
Cl 0.3428 0.7500 0.1683
O 0.0559 0.7500 0.0011
O 0.2570 0.3180 0.6807
O 0.4441 0.7500 0.5011
Nd 0.9483 0.7500 0.5273
O 0.2430 0.3180 0.1807
Cl 0.8428 0.2500 0.3317
Cl 0.2120 0.9597 0.4194
Nd 0.0517 0.2500 0.4727
Cl 0.2880 0.9597 0.9194
O 0.2430 0.1820 0.1807
Cl 0.7120 0.0403 0.0806
Cl 0.7880 0.0403 0.5806
O 0.7570 0.6820 0.8193
Cl 0.2880 0.5403 0.9194
Nd 0.4483 0.2500 0.9727
Cl 0.7880 0.4597 0.5806
Nd 0.5517 0.7500 0.0273
Cl 0.6572 0.2500 0.8317
Cl 0.7120 0.4597 0.0806
Cl 0.1572 0.7500 0.6683
O 0.7430 0.8180 0.3193
O 0.2570 0.1820 0.6807
O 0.9441 0.2500 0.9989
```

Calculated values
Raw total energy, eV/atom: -4.5250
SG: Pnma (62)

=====

[5]
The following is a PBE calculation of a relaxed Y3Fe2Ru4 crystal, from Materials Project. Values from VASP.

```
&SYSTEM
  ibrav = 0, nat = 18, ntyp = 3
/
ATOMIC_SPECIES
Ru 101.07 Ru.upf
Fe 55.84 Fe.upf
Y 88.91 Y.upf
CELL_PARAMETERS angstrom
4.9425 0.9645 1.4545
-1.5603 1.7586 -4.6391
-3.5760 11.2617 5.6637
ATOMIC_POSITIONS crystal
Ru 0.0000 0.5000 0.1250
Fe 0.5000 0.0000 0.1250
Ru 0.6677 0.8348 0.4583
Y 0.3321 0.6660 0.9159
Y 0.3341 0.6659 0.6664
Y 0.9966 0.9973 0.2506
Ru 0.3323 0.1652 0.7917
Ru 0.6644 0.3286 0.9620
Ru 0.3356 0.6714 0.2880
Y 0.6679 0.3340 0.3341
Fe 0.1683 0.8360 0.4586
Ru 0.1696 0.3377 0.4557
Ru 0.0000 0.0000 0.6250
Ru 0.8304 0.6623 0.7943
Fe 0.5000 0.5000 0.1250
Fe 0.8317 0.1640 0.7914
Y 0.6659 0.3341 0.5836
Y 0.0034 0.0027 0.9994
```

Calculated values
Raw total energy, eV/atom: -8.4117
SG: P-1 (2)

=====

[6]
The following is a PBE calculation of a relaxed EuCd2P2 crystal, from Materials Project. Values from VASP.

```
&SYSTEM
  ibrav = 0, nat = 5, ntyp = 3
/
ATOMIC_SPECIES
Cd 112.41 Cd.upf
Eu 151.96 Eu.upf
P 30.97 P.upf
CELL_PARAMETERS angstrom
-2.1788 -3.7737 0.0000
-2.1788 3.7737 0.0000
0.0000 0.0000 -7.1474
ATOMIC_POSITIONS crystal
Cd 0.3333 0.6667 0.3627
Eu 0.0000 0.0000 0.0000
Cd 0.6667 0.3333 0.6373
P 0.6667 0.3333 0.2448
P 0.3333 0.6667 0.7552
```

Calculated values
Raw total energy, eV/atom: -5.1883
SG: P-3m1 (164)

=====

[7]
The following is a PBE calculation of a relaxed KInAs3H7O13 crystal, from Materials Project. Values from VASP.

```
&SYSTEM
  ibrav = 0, nat = 50, ntyp = 5
/
ATOMIC_SPECIES
As 74.92 As.upf
O 16.00 O.upf
H 1.01 H.upf
In 114.82 In.upf
K 39.10 K.upf
CELL_PARAMETERS angstrom
4.9072 0.0000 -0.3934
0.0000 8.8428 0.0000
0.0198 0.0000 14.3081
ATOMIC_POSITIONS crystal
As 0.2963 0.6425 0.4037
O 0.1241 0.1605 0.3334
As 0.2483 0.0424 0.2473
H 0.1041 0.3237 0.0292
In 0.7496 0.7710 0.2534
O 0.9880 0.9469 0.1877
O 0.5033 0.9491 0.3098
O 0.7450 0.3440 0.2499
As 0.7483 0.9576 0.7473
O 0.4854 0.3997 0.6806
O 0.0033 0.0509 0.8098
O 0.0241 0.7421 0.0011
K 0.6507 0.9941 0.0105
O 0.6241 0.8395 0.8334
As 0.6996 0.3461 0.5980
H 0.4750 0.5018 0.0095
As 0.7963 0.3575 0.9037
O 0.4880 0.0531 0.6877
H 0.8931 0.6616 0.9717
H 0.3481 0.5866 0.7111
H 0.9750 0.4982 0.5095
H 0.1468 0.5843 0.7891
In 0.2496 0.2290 0.7534
K 0.1507 0.0059 0.5105
O 0.3212 0.4819 0.0572
O 0.8212 0.5181 0.5572
O 0.1847 0.4752 0.4465
As 0.1996 0.6539 0.0980
H 0.3931 0.3384 0.4717
O 0.4666 0.7455 0.4976
H 0.6468 0.4157 0.2891
O 0.6847 0.5248 0.9465
O 0.5380 0.2316 0.8747
O 0.9666 0.2545 0.9976
O 0.9854 0.6003 0.1806
O 0.5241 0.2579 0.5011
O 0.5166 0.5988 0.3201
O 0.0166 0.4012 0.8201
H 0.5145 0.2319 0.1925
O 0.8748 0.8401 0.6609
H 0.9750 0.2295 0.3048
O 0.9629 0.2264 0.6279
H 0.0145 0.7681 0.6925
O 0.4629 0.7736 0.1279
H 0.8481 0.4134 0.2111
O 0.3748 0.1599 0.1609
H 0.6041 0.6763 0.5292
H 0.4750 0.7705 0.8048
O 0.2450 0.6560 0.7499
O 0.0380 0.7684 0.3747
```

Calculated values
Raw total energy, eV/atom: -5.4919
SG: Pc (7)

=====

[8]
The following is a PBE calculation of a relaxed SrGd2O4 crystal, from Materials Project. Values from VASP.

```
&SYSTEM
  ibrav = 0, nat = 28, ntyp = 3
/
ATOMIC_SPECIES
O 16.00 O.upf
Gd 157.25 Gd.upf
Sr 87.62 Sr.upf
CELL_PARAMETERS angstrom
-1.0503 -3.3182 -0.2101
1.1989 -1.0209 10.1303
-11.4986 3.5310 1.7167
ATOMIC_POSITIONS crystal
O 0.2500 0.7127 0.3212
Gd 0.2500 0.4207 0.6121
Gd 0.7500 0.5793 0.3879
Gd 0.2500 0.9237 0.3883
Gd 0.7500 0.5763 0.8883
Sr 0.2500 0.7527 0.6483
O 0.7500 0.2873 0.6788
O 0.2500 0.9257 0.0784
O 0.7500 0.9881 0.2842
O 0.2500 0.6280 0.0201
O 0.7500 0.4881 0.2158
Gd 0.7500 0.0763 0.6117
O 0.2500 0.2127 0.1788
Sr 0.2500 0.2527 0.8517
O 0.2500 0.4257 0.4216
O 0.7500 0.0743 0.9216
O 0.7500 0.7873 0.8212
Gd 0.7500 0.0793 0.1121
O 0.2500 0.1280 0.4799
O 0.7500 0.5743 0.5784
Sr 0.7500 0.7473 0.1483
O 0.7500 0.3720 0.9799
O 0.2500 0.0119 0.7158
Gd 0.2500 0.9207 0.8879
Gd 0.2500 0.4237 0.1117
O 0.7500 0.8720 0.5201
Sr 0.7500 0.2473 0.3517
O 0.2500 0.5119 0.7842
```

Calculated values
Raw total energy, eV/atom: -10.3485
SG: Pnma (62)